# 1
First-principles (PBE) data for an optimized crystal structure of Sm2Th3O9, as listed in the Materials Project.

size of the total moment	0.006	μB/cell
SG	I-4m2 (119)
crystal system	tetragonal

Geometry as POSCAR:
```
Sm2Th3O9
1.0
-13.035 4.938 3.131
-12.422 6.724 -2.142
11.599 -8.216 -1.433
O Th Sm
9 3 2
Direct
0.447 0.947 0.500
0.750 0.250 0.500
0.547 0.047 0.500
0.953 0.453 0.500
0.646 0.146 0.500
0.156 0.656 0.500
0.854 0.354 0.500
0.344 0.844 0.500
0.053 0.553 0.500
0.600 0.600 0.000
0.000 0.000 0.000
0.400 0.400 0.000
0.806 0.806 0.000
0.194 0.194 0.000
```


# 2
First-principles (PBE) data for an optimized crystal structure of Sm2Ti2O7, as listed in the Materials Project.

SG	Fd-3m (227)
crystal system	cubic

Geometry as POSCAR:
```
Sm2Ti2O7
1.0
0.000 5.155 5.155
5.155 0.000 5.155
5.155 5.155 0.000
O Ti Sm
14 4 4
Direct
0.298 0.702 0.298
0.548 0.952 0.952
0.952 0.548 0.952
0.702 0.298 0.702
0.952 0.952 0.548
0.548 0.952 0.548
0.298 0.298 0.702
0.000 0.000 0.000
0.702 0.298 0.298
0.548 0.548 0.952
0.702 0.702 0.298
0.250 0.250 0.250
0.952 0.548 0.548
0.298 0.702 0.702
0.125 0.625 0.625
0.625 0.625 0.125
0.625 0.625 0.625
0.625 0.125 0.625
0.125 0.625 0.125
0.125 0.125 0.125
0.125 0.125 0.625
0.625 0.125 0.125
```


# 3
First-principles (PBE) data for an optimized crystal structure of Sm2TiO5, as listed in the Materials Project.

polymorph energy (0 for the lowest one)	0	meV/atom
SG	Pnma (62)
crystal system	orthorhombic

Geometry as POSCAR:
```
Sm2TiO5
1.0
-3.736 0.323 0.679
-1.558 -9.816 -3.907
1.520 -4.406 10.465
O Sm Ti
20 8 4
Direct
0.250 0.764 0.731
0.250 0.264 0.769
0.250 0.517 0.842
0.250 0.764 0.382
0.250 0.724 0.040
0.750 0.983 0.342
0.250 0.993 0.104
0.750 0.483 0.158
0.750 0.736 0.231
0.250 0.493 0.396
0.750 0.736 0.882
0.750 0.776 0.540
0.750 0.507 0.604
0.750 0.276 0.960
0.250 0.224 0.460
0.750 0.007 0.896
0.750 0.236 0.618
0.750 0.236 0.269
0.250 0.017 0.658
0.250 0.264 0.118
0.250 0.637 0.556
0.250 0.610 0.223
0.750 0.863 0.056
0.250 0.137 0.944
0.750 0.390 0.777
0.750 0.363 0.444
0.250 0.110 0.277
0.750 0.890 0.723
0.750 0.820 0.379
0.250 0.680 0.879
0.250 0.180 0.621
0.750 0.320 0.121
```


# 4
First-principles (PBE) data for an optimized crystal structure of Sm2TiO5, as listed in the Materials Project.

polymorph energy (0 for the lowest one)	70	meV/atom
size of the total moment	0.000	μB/cell
SG	Pnma (62)
crystal system	orthorhombic

Geometry as POSCAR:
```
Sm2TiO5
1.0
3.697 0.000 0.000
0.000 7.630 0.000
0.000 0.000 15.897
Sm O Ti
8 20 4
Direct
0.750 0.859 0.261
0.250 0.622 0.421
0.750 0.878 0.921
0.250 0.141 0.739
0.750 0.359 0.239
0.750 0.378 0.579
0.250 0.641 0.761
0.250 0.122 0.079
0.750 0.588 0.046
0.750 0.088 0.454
0.250 0.910 0.829
0.250 0.844 0.009
0.250 0.410 0.671
0.750 0.602 0.852
0.250 0.344 0.491
0.250 0.912 0.546
0.250 0.755 0.176
0.250 0.898 0.352
0.750 0.245 0.824
0.750 0.156 0.991
0.250 0.255 0.324
0.750 0.102 0.648
0.750 0.656 0.509
0.750 0.090 0.171
0.750 0.590 0.329
0.250 0.412 0.954
0.750 0.745 0.676
0.250 0.398 0.148
0.250 0.624 0.078
0.750 0.376 0.922
0.750 0.876 0.578
0.250 0.124 0.422
```


# 5
First-principles (PBE) data for an optimized crystal structure of SmTi4ZnO12, as listed in the Materials Project.

size of the total moment	3.000	μB/cell
SG	Amm2 (38)
crystal system	orthorhombic

Geometry as POSCAR:
```
SmTi4ZnO12
1.0
0.000 -3.751 -3.768
0.000 -3.751 3.768
-7.865 0.000 0.000
O Ti Zn Sm
12 4 1 1
Direct
0.599 0.012 0.000
0.294 0.300 0.269
0.180 0.820 0.179
0.453 0.949 0.500
0.988 0.401 0.000
0.768 0.232 0.707
0.180 0.820 0.821
0.294 0.300 0.731
0.700 0.706 0.269
0.051 0.547 0.500
0.700 0.706 0.731
0.768 0.232 0.293
0.495 0.987 0.767
0.013 0.505 0.767
0.013 0.505 0.233
0.495 0.987 0.233
0.983 0.017 0.000
0.533 0.467 0.500
```


# 6
First-principles (PBE) data for an optimized crystal structure of SmTlO3, as listed in the Materials Project.

size of the total moment	0.000	μB/cell
SG	Pnma (62)
crystal system	orthorhombic

Geometry as POSCAR:
```
SmTlO3
1.0
-0.971 -5.585 -0.616
4.772 -0.418 -3.731
5.136 -1.638 6.754
Sm O Tl
4 12 4
Direct
0.976 0.069 0.250
0.024 0.931 0.750
0.524 0.569 0.250
0.476 0.431 0.750
0.310 0.686 0.919
0.654 0.078 0.750
0.810 0.814 0.419
0.190 0.186 0.919
0.154 0.422 0.250
0.810 0.814 0.081
0.690 0.314 0.419
0.190 0.186 0.581
0.346 0.922 0.250
0.690 0.314 0.081
0.846 0.578 0.750
0.310 0.686 0.581
0.500 0.000 0.500
0.000 0.500 0.000
0.000 0.500 0.500
0.500 0.000 0.000
```


# 7
First-principles (PBE) data for an optimized crystal structure of Sm6U3O17, as listed in the Materials Project.

SG	C2 (5)
crystal system	monoclinic

Geometry as POSCAR:
```
Sm6U3O17
1.0
2.726 6.126 0.000
-2.726 6.126 0.000
0.000 3.692 10.948
O Sm U
17 6 3
Direct
0.083 0.292 0.768
0.919 0.080 0.658
0.577 0.743 0.786
0.088 0.240 0.434
0.257 0.423 0.214
0.428 0.589 0.341
0.098 0.235 0.129
0.256 0.437 0.891
0.563 0.744 0.109
0.760 0.912 0.566
0.265 0.417 0.553
0.708 0.917 0.232
0.765 0.902 0.871
0.913 0.087 0.000
0.411 0.572 0.659
0.920 0.081 0.342
0.583 0.735 0.447
0.320 0.039 0.941
0.007 0.656 0.387
0.683 0.310 0.177
0.690 0.317 0.823
0.344 0.993 0.613
0.961 0.680 0.059
0.997 0.670 0.722
0.330 0.003 0.278
0.658 0.342 0.500
```


# 8
First-principles (PBE) data for an optimized crystal structure of Sm4U4O17, as listed in the Materials Project.

size of the total moment	1.996	μB/cell
SG	Cmmm (65)
crystal system	orthorhombic

Geometry as POSCAR:
```
Sm4U4O17
1.0
5.485 -7.585 0.000
5.485 7.585 0.000
0.000 0.000 3.835
O Sm U
17 4 4
Direct
0.135 0.135 0.000
0.619 0.148 0.000
0.641 0.641 0.000
0.751 0.984 0.500
0.381 0.852 0.000
0.509 0.752 0.500
0.148 0.619 0.000
0.359 0.359 0.000
0.752 0.509 0.500
0.249 0.016 0.500
0.984 0.751 0.500
0.248 0.491 0.500
0.865 0.865 0.000
0.491 0.248 0.500
0.852 0.381 0.000
0.500 0.500 0.500
0.016 0.249 0.500
0.874 0.126 0.000
0.500 0.000 0.500
0.000 0.500 0.500
0.126 0.874 0.000
0.750 0.750 0.500
0.380 0.620 0.000
0.250 0.250 0.500
0.620 0.380 0.000
```


no.,formation energy (kJ/mol of formula units),raw total energy (eV per cell)
1,-5577,-127.83
2,-3954,-192.07
3,-2951,-276.89
4,-2897,-274.64
5,-5071,-141.25
6,-1163,-127.65
7,-9646,-234.59
8,-8922,-228.95